# 1
# FeB2O4 PBE with a Hubbard U relaxed
data_FeB2O4
_chemical_formula_sum 'Fe4 B8 O16'
_cell_length_a 4.485
_cell_length_b 5.700
_cell_length_c 9.265
_cell_angle_alpha 90.00
_cell_angle_beta 98.57
_cell_angle_gamma 90.00
_space_group_name_H-M_alt 'P 1 2/c 1'
_space_group_IT_number 13
_space_group_name_Hall '-P 2yc'
loop_
_atom_site_label
_atom_site_type_symbol
_atom_site_fract_x
_atom_site_fract_y
_atom_site_fract_z
_atom_site_occupancy
Fe1 Fe 0.000 0.087 0.250 1
Fe2 Fe 0.500 0.412 0.250 1
B1 B 0.059 0.357 0.939 1
B2 B 0.440 0.142 0.561 1
O1 O 0.076 0.403 0.103 1
O2 O 0.147 0.166 0.609 1
O3 O 0.353 0.334 0.892 1
O4 O 0.420 0.097 0.398 1
# E = -0.5648 Ry per atom
# Energy relative to the lowest polymorph listed for this composition = 4 meV per atom


# 2
# Li7Mn3Si2O12 PBE with a Hubbard U relaxed
data_Li7Mn3Si2O12
_chemical_formula_sum 'Li14 Mn6 Si4 O24'
_cell_length_a 5.083
_cell_length_b 8.453
_cell_length_c 9.784
_cell_angle_alpha 90.00
_cell_angle_beta 96.64
_cell_angle_gamma 90.00
_space_group_name_H-M_alt 'C 1 2/m 1'
_space_group_IT_number 12
_space_group_name_Hall '-C 2y'
loop_
_atom_site_label
_atom_site_type_symbol
_atom_site_fract_x
_atom_site_fract_y
_atom_site_fract_z
_atom_site_occupancy
Li1 Li 0.000 0.000 0.000 1
Li2 Li 0.247 0.163 0.246 1
Li3 Li 0.249 0.500 0.240 1
Mn1 Mn 0.000 0.167 0.500 1
Mn2 Mn 0.000 0.500 0.500 1
Si1 Si 0.000 0.332 0.000 1
O1 O 0.094 0.500 0.896 1
O2 O 0.097 0.000 0.377 1
O3 O 0.099 0.333 0.379 1
O4 O 0.162 0.186 0.899 1
# E = -0.4780 Ry per atom
# Total moment = 12.003 μB per formula unit


# 3
# K2HoPWO8 PBE with a Hubbard U relaxed
data_K2HoPWO8
_chemical_formula_sum 'K16 Ho8 P8 W8 O64'
_cell_length_a 6.953
_cell_length_b 12.255
_cell_length_c 20.010
_cell_angle_alpha 90.00
_cell_angle_beta 90.00
_cell_angle_gamma 90.00
_space_group_name_H-M_alt 'I b c a'
_space_group_IT_number 73
_space_group_name_Hall '-I 2b 2c'
loop_
_atom_site_label
_atom_site_type_symbol
_atom_site_fract_x
_atom_site_fract_y
_atom_site_fract_z
_atom_site_occupancy
K1 K 0.030 0.079 0.156 1
Ho1 Ho 0.250 0.174 0.500 1
P1 P 0.250 0.070 0.000 1
W1 W 0.000 0.250 0.336 1
O1 O 0.058 0.133 0.784 1
O2 O 0.077 0.151 0.007 1
O3 O 0.212 0.219 0.387 1
O4 O 0.233 0.006 0.561 1
# E = -0.5202 Ry per atom
# Total moment = 0.001 μB per formula unit


# 4
# Li3MnNb4O12 PBE with a Hubbard U relaxed
data_Li3MnNb4O12
_chemical_formula_sum 'Li3 Mn1 Nb4 O12'
_cell_length_a 5.283
_cell_length_b 5.625
_cell_length_c 7.712
_cell_angle_alpha 94.92
_cell_angle_beta 90.04
_cell_angle_gamma 90.12
_space_group_name_H-M_alt 'P 1'
_space_group_IT_number 1
_space_group_name_Hall 'P 1'
loop_
_atom_site_label
_atom_site_type_symbol
_atom_site_fract_x
_atom_site_fract_y
_atom_site_fract_z
_atom_site_occupancy
Li1 Li 0.000 0.000 0.000 1
Li2 Li 0.000 0.000 0.497 1
Li3 Li 0.500 0.492 0.001 1
Mn1 Mn 0.497 0.499 0.495 1
Nb1 Nb 0.002 0.560 0.207 1
Nb2 Nb 0.499 0.076 0.716 1
Nb3 Nb 0.506 0.055 0.209 1
Nb4 Nb 0.998 0.578 0.719 1
O1 O 0.117 0.599 0.453 1
O2 O 0.185 0.900 0.760 1
O3 O 0.195 0.281 0.138 1
O4 O 0.303 0.778 0.137 1
O5 O 0.314 0.401 0.759 1
O6 O 0.382 0.098 0.452 1
O7 O 0.623 0.096 0.956 1
O8 O 0.679 0.406 0.256 1
O9 O 0.695 0.782 0.636 1
O10 O 0.802 0.285 0.638 1
O11 O 0.818 0.904 0.259 1
O12 O 0.875 0.598 0.956 1
# E = -0.5906 Ry per atom
# Total moment = 4.118 μB per formula unit